# 1
A relaxed Ca5BC4Cl3 crystal. Source: Materials Project, functional PBE-GGA.

abc: 7.2933 7.2933 18.6890
angles: 90.00 90.00 149.10
Last column: nearest neighbours and their distance in Å.
Fractional positions:
Ca 0.0548 0.9452 0.3589  3 C 2.51-2.77
Ca 0.8440 0.1560 0.2500  2 B 2.59, 4 C 2.84, 2 Cl 2.87
Ca 0.3629 0.6371 0.4374  3 C 2.40-2.54
Ca 0.9452 0.0548 0.8589  3 C 2.51-2.77
Ca 0.3629 0.6371 0.0626  3 C 2.40-2.54
Ca 0.6371 0.3629 0.5626  3 C 2.40-2.54
Ca 0.6371 0.3629 0.9374  3 C 2.40-2.54
Ca 0.1560 0.8440 0.7500  2 B 2.59, 4 C 2.84, 2 Cl 2.87
Ca 0.0548 0.9452 0.1411  3 C 2.51-2.77
Ca 0.9452 0.0548 0.6411  3 C 2.51-2.77
B 0.4656 0.5344 0.2500  2 C 1.45
B 0.5344 0.4656 0.7500  2 C 1.45
Cl 0.2842 0.7158 0.5854  5 Ca 2.87-3.16
Cl 0.2842 0.7158 0.9146  5 Ca 2.87-3.16
Cl 0.1938 0.8062 0.2500  4 Ca 2.82-2.87
Cl 0.7158 0.2842 0.4146  5 Ca 2.87-3.16
Cl 0.8062 0.1938 0.7500  4 Ca 2.82-2.87
Cl 0.7158 0.2842 0.0854  5 Ca 2.87-3.16
C 0.5496 0.4504 0.6732  1 B 1.45
C 0.4504 0.5496 0.3268  1 B 1.45
C 0.5496 0.4504 0.8268  1 B 1.45
C 0.0418 0.9582 0.5117  1 C 1.26
C 0.4504 0.5496 0.1732  1 B 1.45
C 0.9582 0.0418 0.4883  1 C 1.26
C 0.9582 0.0418 0.0117  1 C 1.26
C 0.0418 0.9582 0.9883  1 C 1.26

space group: Cmcm
uncorrected energy: -5.485 eV per atom
calculated volume: 19.63 Å³ per atom


# 2
A relaxed Ca3BCNCl2 crystal. Source: Materials Project, functional PBE-GGA.

abc: 3.8512 11.2365 13.9030
angles: 90.00 90.00 90.00
Last column: nearest neighbours and their distance in Å.
Fractional positions:
Cl 0.2500 0.3600 0.0119  5 Ca 2.91-3.02
Cl 0.7500 0.8600 0.4881  5 Ca 2.91-3.02
Cl 0.7500 0.3940 0.5534  5 Ca 2.83-2.94
Cl 0.2500 0.8940 0.9466  5 Ca 2.83-2.94
Cl 0.7500 0.6400 0.9881  5 Ca 2.91-3.02
Cl 0.7500 0.1060 0.0534  5 Ca 2.83-2.94
Cl 0.2500 0.6060 0.4466  5 Ca 2.83-2.94
Cl 0.2500 0.1400 0.5119  5 Ca 2.91-3.02
Ca 0.7500 0.8620 0.1041  2 C 2.58, 2 B 2.76, 1 Cl 2.83
Ca 0.7500 0.7007 0.3133  1 N 2.39, 2 C 2.58
Ca 0.7500 0.4318 0.8632  2 N 2.40, 1 C 2.54
Ca 0.2500 0.1380 0.8959  2 C 2.58, 2 B 2.76, 1 Cl 2.83
Ca 0.2500 0.5682 0.1368  2 N 2.40, 1 C 2.54
Ca 0.7500 0.7993 0.8133  1 N 2.39, 2 C 2.58
Ca 0.7500 0.0682 0.3632  2 N 2.40, 1 C 2.54
Ca 0.2500 0.3620 0.3959  2 C 2.58, 2 B 2.76, 1 Cl 2.83
Ca 0.2500 0.9318 0.6368  2 N 2.40, 1 C 2.54
Ca 0.2500 0.2007 0.1867  1 N 2.39, 2 C 2.58
Ca 0.7500 0.6380 0.6041  2 C 2.58, 2 B 2.76, 1 Cl 2.83
Ca 0.2500 0.2993 0.6867  1 N 2.39, 2 C 2.58
N 0.7500 0.5141 0.2300  1 B 1.36
N 0.2500 0.0141 0.2700  1 B 1.36
N 0.2500 0.4859 0.7700  1 B 1.36
N 0.7500 0.9859 0.7300  1 B 1.36
B 0.7500 0.3972 0.2565  1 N 1.36, 1 C 1.44
B 0.2500 0.8972 0.2435  1 N 1.36, 1 C 1.44
B 0.7500 0.1028 0.7565  1 N 1.36, 1 C 1.44
B 0.2500 0.6028 0.7435  1 N 1.36, 1 C 1.44
C 0.7500 0.2773 0.2936  1 B 1.44
C 0.7500 0.2227 0.7936  1 B 1.44
C 0.2500 0.7227 0.7064  1 B 1.44
C 0.2500 0.7773 0.2064  1 B 1.44

space group: Pnma
uncorrected energy: -5.598 eV per atom
calculated volume: 18.80 Å³ per atom


# 3
A relaxed Ca2MgB2H16C2O18 crystal. Source: Materials Project, functional PBE-GGA.

abc: 6.8001 10.6906 11.4975
angles: 60.28 90.00 90.00
Last column: nearest neighbours and their distance in Å.
Fractional positions:
H 0.3295 0.5228 0.6232  1 O 0.98
H 0.0363 0.2940 0.8330  1 O 0.98
H 0.1304 0.8816 0.9838  1 O 1.01
H 0.3865 0.2389 0.6716  1 O 0.98
H 0.6556 0.4317 0.8192  1 O 0.99
H 0.3696 0.8816 0.4838  1 O 1.01
H 0.5363 0.7060 0.6670  1 O 0.98
H 0.6135 0.7611 0.3284  1 O 0.98
H 0.9353 0.7713 0.6085  1 O 0.98
H 0.7532 0.9717 0.0464  1 O 1.00
H 0.0647 0.2287 0.3915  1 O 0.98
H 0.2468 0.0283 0.9536  1 O 1.00
H 0.4637 0.2940 0.3330  1 O 0.98
H 0.8444 0.4317 0.3192  1 O 0.99
H 0.6705 0.4772 0.3768  1 O 0.98
H 0.5647 0.7713 0.1085  1 O 0.98
H 0.6826 0.5201 0.6025  1 O 0.99
H 0.6304 0.1184 0.5162  1 O 1.01
H 0.3174 0.4799 0.3975  1 O 0.99
H 0.9637 0.7060 0.1670  1 O 0.98
H 0.1705 0.5228 0.1232  1 O 0.98
H 0.1135 0.2389 0.1716  1 O 0.98
H 0.7468 0.9717 0.5464  1 O 1.00
H 0.8174 0.5201 0.1025  1 O 0.99
H 0.8295 0.4772 0.8768  1 O 0.98
H 0.4353 0.2287 0.8915  1 O 0.98
H 0.8865 0.7611 0.8284  1 O 0.98
H 0.1826 0.4799 0.8975  1 O 0.99
H 0.8696 0.1184 0.0162  1 O 1.01
H 0.1556 0.5683 0.6808  1 O 0.99
H 0.3444 0.5683 0.1808  1 O 0.99
H 0.2532 0.0283 0.4536  1 O 1.00
O 0.1702 0.1737 0.1432  1 H 0.98
O 0.3298 0.1737 0.6432  1 H 0.98
O 0.3586 0.1719 0.9740  1 H 0.98
O 0.7751 0.5976 0.5443  1 H 0.99
O 0.9075 0.3385 0.2210  1 C 1.30
O 0.1056 0.6978 0.3440  1 C 1.31
O 0.3111 0.5061 0.1428  2 H 0.98-0.99
O 0.2033 0.9686 0.9138  2 H 1.00-1.01
O 0.1889 0.5061 0.6428  2 H 0.98-0.99
O 0.7249 0.5976 0.0443  1 H 0.99
O 0.0925 0.6615 0.7790  1 C 1.30
O 0.8944 0.3022 0.6560  1 C 1.31
O 0.2751 0.4024 0.9557  1 H 0.99
O 0.9840 0.7382 0.0718  1 H 0.98
O 0.7967 0.0314 0.0862  2 H 1.00-1.01
O 0.7108 0.1152 0.7931  1 C 1.29
O 0.6056 0.3022 0.1560  1 C 1.31
O 0.2967 0.9686 0.4138  2 H 1.00-1.01
O 0.2892 0.8848 0.2069  1 C 1.29
O 0.8111 0.4939 0.3572  2 H 0.98-0.99
O 0.6702 0.8263 0.3568  1 H 0.98
O 0.5925 0.3385 0.7210  1 C 1.30
O 0.7033 0.0314 0.5862  2 H 1.00-1.01
O 0.8586 0.8281 0.5260  1 H 0.98
O 0.1414 0.1719 0.4740  1 H 0.98
O 0.3944 0.6978 0.8440  1 C 1.31
O 0.8298 0.8263 0.8568  1 H 0.98
O 0.7892 0.1152 0.2931  1 C 1.29
O 0.4075 0.6615 0.2790  1 C 1.30
O 0.4840 0.2618 0.4282  1 H 0.98
O 0.0160 0.2618 0.9282  1 H 0.98
O 0.2108 0.8848 0.7069  1 C 1.29
O 0.5160 0.7382 0.5718  1 H 0.98
O 0.6889 0.4939 0.8572  2 H 0.98-0.99
O 0.6414 0.8281 0.0260  1 H 0.98
O 0.2249 0.4024 0.4557  1 H 0.99
C 0.2306 0.7466 0.7770  3 O 1.29-1.31
C 0.7694 0.2534 0.2230  3 O 1.29-1.31
C 0.7306 0.2534 0.7230  3 O 1.29-1.31
C 0.2694 0.7466 0.2770  3 O 1.29-1.31
Ca 0.4992 0.9418 0.7953  8 O 2.34-2.53
Ca 0.9992 0.0582 0.7047  8 O 2.34-2.53
Ca 0.5008 0.0582 0.2047  8 O 2.34-2.53
Ca 0.0008 0.9418 0.2953  8 O 2.34-2.53
Mg 0.5000 0.5000 0.0000  6 O 2.05-2.11
Mg 0.0000 0.5000 0.5000  6 O 2.05-2.11
B 0.7965 0.7437 0.0046  4 O 1.47-1.49
B 0.2035 0.2563 0.9954  4 O 1.47-1.49
B 0.2965 0.2563 0.4954  4 O 1.47-1.49
B 0.7035 0.7437 0.5046  4 O 1.47-1.49

space group: P2_1/c
uncorrected energy: -5.999 eV per atom
calculated volume: 8.85 Å³ per atom


| no. | spin magnetization (μB per cell) |
| --- | --- |
| 1 | 0.00 |
| 2 | 0.01 |
| 3 | 0.00 |